[1]
Here is crystalline In2O3 at its relaxed geometry from the Materials Project database. Energies are from GGA-PBE.

Geometry as POSCAR:
```
In2O3
1.0
-2.835 1.133 -11.430
-9.614 -5.975 1.008
-5.175 9.887 2.218
O In
60 40
direct
0.803 0.174 0.116 O
0.985 0.089 0.285 O
0.288 0.337 0.834 O
0.462 0.691 0.564 O
0.063 0.288 0.512 O
0.684 0.430 0.289 O
0.188 0.568 0.988 O
0.676 0.973 0.504 O
0.394 0.780 0.226 O
0.776 0.938 0.428 O
0.649 0.912 0.733 O
0.948 0.539 0.034 O
0.029 0.003 0.038 O
0.484 0.567 0.080 O
0.228 0.177 0.009 O
0.611 0.627 0.773 O
0.265 0.731 0.390 O
0.370 0.348 0.162 O
0.573 0.247 0.093 O
0.041 0.515 0.788 O
0.453 0.375 0.597 O
0.589 0.798 0.990 O
0.111 0.767 0.817 O
0.767 0.388 0.014 O
0.258 0.168 0.656 O
0.198 0.550 0.239 O
0.823 0.626 0.278 O
0.314 0.082 0.418 O
0.870 0.473 0.560 O
0.442 0.894 0.469 O
0.794 0.449 0.787 O
0.064 0.729 0.134 O
0.773 0.717 0.572 O
0.578 0.202 0.355 O
0.033 0.303 0.028 O
0.306 0.814 0.000 O
0.992 0.265 0.778 O
0.676 0.028 0.964 O
0.891 0.919 0.694 O
0.228 0.848 0.639 O
0.941 0.815 0.336 O
0.492 0.100 0.612 O
0.627 0.725 0.384 O
0.590 0.966 0.250 O
0.189 0.929 0.201 O
0.417 0.024 0.027 O
0.412 0.906 0.765 O
0.991 0.448 0.257 O
0.031 0.657 0.497 O
0.824 0.168 0.549 O
0.051 0.969 0.530 O
0.646 0.484 0.551 O
0.215 0.520 0.613 O
0.852 0.724 0.869 O
0.376 0.614 0.806 O
0.454 0.493 0.349 O
0.822 0.873 0.131 O
0.742 0.202 0.778 O
0.175 0.018 0.830 O
0.498 0.190 0.868 O
0.529 0.998 0.861 In
0.703 0.220 0.956 In
0.748 0.570 0.436 In
0.041 0.477 0.592 In
0.829 0.460 0.171 In
0.105 0.454 0.105 In
0.571 0.365 0.441 In
0.980 0.128 0.464 In
0.342 0.992 0.618 In
0.157 0.208 0.834 In
0.482 0.883 0.118 In
0.497 0.544 0.659 In
0.451 0.685 0.377 In
0.002 0.908 0.193 In
0.201 0.690 0.547 In
0.597 0.812 0.579 In
0.839 0.313 0.664 In
0.418 0.248 0.716 In
0.215 0.993 0.023 In
0.281 0.909 0.351 In
0.979 0.167 0.122 In
0.757 0.859 0.959 In
0.237 0.247 0.487 In
0.917 0.832 0.521 In
0.019 0.672 0.936 In
0.788 0.616 0.726 In
0.536 0.423 0.172 In
0.226 0.509 0.808 In
0.665 0.120 0.200 In
0.526 0.636 0.930 In
0.747 0.812 0.280 In
0.013 0.636 0.298 In
0.290 0.794 0.815 In
0.751 0.046 0.672 In
0.924 0.401 0.903 In
0.397 0.216 0.028 In
0.295 0.411 0.322 In
0.249 0.698 0.128 In
0.064 0.932 0.722 In
0.512 0.055 0.427 In
```

Output
For the energy, the calculation gives -0.396 Ry/atom. The symmetry is P1. The formation energy is -32.6 kcal/mol of atoms. The value obtained for the energy with MP2020 corrections is -27.4 eV per formula unit.

[2]
Here is crystalline Li5BO4 at its relaxed geometry from the Materials Project database. Energies are from GGA-PBE.

Geometry as POSCAR:
```
Li5BO4
1.0
4.575 0.000 0.000
0.000 5.975 0.000
0.000 0.000 6.091
Li O B
10 8 2
direct
0.742 0.740 0.698 Li
0.258 0.760 0.802 Li
0.742 0.740 0.302 Li
0.822 0.500 0.000 Li
0.258 0.240 0.198 Li
0.742 0.260 0.302 Li
0.742 0.260 0.698 Li
0.258 0.760 0.198 Li
0.178 0.000 0.500 Li
0.258 0.240 0.802 Li
0.595 0.787 0.000 O
0.595 0.213 0.000 O
0.967 0.000 0.208 O
0.033 0.500 0.292 O
0.033 0.500 0.708 O
0.967 0.000 0.792 O
0.405 0.713 0.500 O
0.405 0.287 0.500 O
0.221 0.500 0.500 B
0.779 0.000 0.000 B
```

Output
For the energy, the calculation gives -0.418 Ry/atom. The symmetry is Pmmn. The formation energy is -54.3 kcal/mol of atoms. The value obtained for the energy with MP2020 corrections is -59.6 eV per formula unit.

The lowest energy with MP2020 corrections belongs to which entry? Li5BO4